A relaxed structure of SeN, computed with PBE.

The structure in POSCAR format:
```
SeN
1.0
7.904 0.000 0.000
0.000 9.247 0.000
0.000 8.648 9.640
N Se
16 16
Cartesian
6.014 4.247 0.116
4.702 14.635 7.943
0.868 11.418 8.124
2.176 1.027 0.289
2.062 9.325 4.705
3.202 3.260 1.698
5.841 8.571 4.936
3.084 7.094 3.304
1.776 5.351 5.109
0.750 7.584 6.518
7.154 10.311 3.123
7.035 6.477 1.516
4.820 10.801 6.336
1.890 13.649 9.525
6.128 12.544 4.531
5.727 16.868 9.351
3.338 6.226 4.872
5.614 5.369 1.478
0.357 6.464 5.149
7.290 15.993 9.588
6.259 13.761 8.191
1.645 4.135 1.450
4.308 15.756 9.311
7.547 11.432 4.491
3.595 2.140 0.329
0.614 1.902 0.052
5.597 9.437 3.370
4.566 11.669 4.768
2.290 12.527 8.162
6.242 9.693 6.299
1.662 8.203 3.342
2.307 8.459 6.270
```

Output
magnetization: 0.0000 μB/atom
energy: -5.10 eV per atom
space-group type: P2_1/c